# InH8C8N4Cl7

An optimized crystal structure of InH8C8N4Cl7 (PBE-GGA, Materials Project).

The structure in POSCAR format:
```
InH8C8N4Cl7
1.0
-5.943 5.332 -2.101
-7.007 -8.531 -1.830
-4.061 0.564 12.918
N C H Cl In
8 16 16 14 2
direct
0.054 0.691 0.397
0.054 0.309 0.603
0.462 0.903 0.694
0.946 0.809 0.897
0.462 0.097 0.306
0.946 0.191 0.103
0.538 0.597 0.194
0.538 0.403 0.806
0.107 0.811 0.890
0.450 0.448 0.880
0.550 0.052 0.380
0.634 0.557 0.122
0.893 0.689 0.390
0.008 0.266 0.691
0.366 0.943 0.622
0.550 0.948 0.620
0.893 0.311 0.610
0.366 0.057 0.378
0.107 0.189 0.110
0.992 0.234 0.191
0.450 0.552 0.120
0.008 0.734 0.309
0.992 0.766 0.809
0.634 0.443 0.878
0.154 0.672 0.441
0.459 0.162 0.843
0.529 0.639 0.264
0.071 0.925 0.469
0.846 0.172 0.059
0.071 0.075 0.531
0.459 0.838 0.157
0.471 0.861 0.764
0.529 0.361 0.736
0.154 0.328 0.559
0.541 0.338 0.343
0.541 0.662 0.657
0.846 0.828 0.941
0.929 0.575 0.969
0.471 0.139 0.236
0.929 0.425 0.031
0.043 0.500 0.000
0.334 0.899 0.129
0.455 0.689 0.414
0.229 0.403 0.379
0.545 0.189 0.086
0.545 0.811 0.914
0.771 0.097 0.879
0.334 0.101 0.871
0.455 0.311 0.586
0.666 0.601 0.629
0.771 0.903 0.121
0.957 0.000 0.500
0.229 0.597 0.621
0.666 0.399 0.371
0.402 0.500 0.500
0.598 0.000 0.000
```

Values from the calculation:
For the formation energy, the calculation gives 0.54 eV/atom.